No. 1
A plane-wave DFT calculation with PBE was carried out for an optimized crystal structure of TlCuHCO4.

Calculated values
Its energy relative to the elements is -1.348 eV/atom. For the calculated volume, the calculation gives 13.7 A^3/atom.

Cell: 11.1524 11.1524 6.1008 Å, 90.00 90.00 120.00°
Space group P6_3/m (No. 176)
Unique sites:
Tl 0.1352 0.2830 0.2500 [6 per cell]
Cu 0.0000 0.5000 0.0000 [6 per cell]
H 0.1952 0.5867 0.2500 [6 per cell]
C 0.1938 0.7627 0.7500 [6 per cell]
O 0.1069 0.5005 0.2500 [6 per cell]
O 0.1084 0.3922 0.7500 [6 per cell]
O 0.1469 0.6976 0.5631 [12 per cell]

No. 2
A plane-wave DFT calculation with PBE was carried out for an optimized crystal structure of BaSrPrNbO6.

Calculated values
Its energy relative to the elements is -3.344 eV/atom. For the calculated volume, the calculation gives 16.0 A^3/atom. Its polymorph energy (0 for the lowest one) is 0.22 kcal/mol of atoms.

Cell: 8.609 8.615 8.626 Å, 90.00 90.00 90.00°
Space group P222 (No. 16)
Unique sites:
Ba 0.000 0.000 0.000 [1 per cell]
Ba 0.000 0.000 0.500 [1 per cell]
Ba 0.000 0.500 0.000 [1 per cell]
Ba 0.500 0.500 0.500 [1 per cell]
Sr 0.000 0.500 0.500 [1 per cell]
Sr 0.500 0.000 0.000 [1 per cell]
Sr 0.500 0.000 0.500 [1 per cell]
Sr 0.500 0.500 0.000 [1 per cell]
Pr 0.252 0.252 0.750 [4 per cell]
Nb 0.254 0.250 0.251 [4 per cell]
O 0.021 0.276 0.218 [4 per cell]
O 0.216 0.295 0.480 [4 per cell]
O 0.221 0.019 0.279 [4 per cell]
O 0.288 0.213 0.019 [4 per cell]
O 0.294 0.478 0.211 [4 per cell]
O 0.481 0.214 0.298 [4 per cell]

No. 3
A plane-wave DFT calculation with PBE was carried out for an optimized crystal structure of NiS2.

Calculated values
Its energy relative to the elements is -0.287 eV/atom. For the calculated volume, the calculation gives 17.6 A^3/atom.

Cell: 3.223 3.223 10.150 Å, 90.00 90.00 90.00°
Space group P4/nmm (No. 129, origin choice 2)
Unique sites:
Ni 0.250 0.250 0.073 [2 per cell]
S 0.250 0.250 0.855 [2 per cell]
S 0.250 0.750 0.500 [2 per cell]

No. 4
A plane-wave DFT calculation with PBE was carried out for an optimized crystal structure of In3Hg.

Calculated values
Its energy relative to the elements is 0.029 eV/atom. For the calculated volume, the calculation gives 27.4 A^3/atom.

Cell: 6.5719 6.5719 5.8678 Å, 90.00 90.00 120.00°
Space group P6_3/mmc (No. 194)
Unique sites:
In 0.1673 0.3346 0.2500 [6 per cell]
Hg 0.3333 0.6667 0.7500 [2 per cell]

No. 5
A plane-wave DFT calculation with PBE was carried out for an optimized crystal structure of BaTi4SnO12.

Calculated values
Its energy relative to the elements is -2.720 eV/atom. For the calculated volume, the calculation gives 13.3 A^3/atom.

Cell: 5.557 5.557 7.754 Å, 90.00 90.00 90.00°
Space group P4/mmm (No. 123)
Unique sites:
Ba 0.000 0.000 0.000 [1 per cell]
Ti 0.000 0.500 0.253 [4 per cell]
Sn 0.500 0.500 0.500 [1 per cell]
O 0.000 0.500 0.000 [2 per cell]
O 0.000 0.500 0.500 [2 per cell]
O 0.257 0.257 0.264 [8 per cell]

No. 6
A plane-wave DFT calculation with PBE was carried out for an optimized crystal structure of Zr3Fe3C.

Calculated values
Its energy relative to the elements is -0.314 eV/atom. For the calculated volume, the calculation gives 14.8 A^3/atom.

Cell: 11.837 11.837 11.837 Å, 90.00 90.00 90.00°
Space group Fd-3m (No. 227, origin choice 2)
Unique sites:
Zr 0.076 0.375 0.375 [48 per cell]
Fe 0.000 0.000 0.500 [16 per cell]
Fe 0.054 0.054 0.696 [32 per cell]
C 0.000 0.000 0.000 [16 per cell]

No. 7
A plane-wave DFT calculation with PBE was carried out for an optimized crystal structure of Li3Bi2P3O12.

Calculated values
Its energy relative to the elements is -2.510 eV/atom. For the calculated volume, the calculation gives 14.3 A^3/atom. Its polymorph energy (0 for the lowest one) is 0.06 kcal/mol of atoms.

Cell: 8.9282 8.9282 24.8504 Å, 90.00 90.00 120.00°
Space group R-3 (No. 148, hexagonal axes)
Unique sites:
Li 0.0197 0.7118 0.0451 [18 per cell]
Bi 0.0000 0.0000 0.1523 [6 per cell]
Bi 0.0000 0.0000 0.3446 [6 per cell]
P 0.0028 0.3075 0.7452 [18 per cell]
O 0.0204 0.2152 0.7946 [18 per cell]
O 0.0478 0.4849 0.3628 [18 per cell]
O 0.0820 0.5252 0.0615 [18 per cell]
O 0.0835 0.5036 0.7557 [18 per cell]

No. 8
A plane-wave DFT calculation with PBE was carried out for an optimized crystal structure of CaPtPb.

Calculated values
Its energy relative to the elements is -0.686 eV/atom. For the calculated volume, the calculation gives 24.4 A^3/atom.

Cell: 7.362 4.773 8.333 Å, 90.00 90.00 90.00°
Space group Pnma (No. 62)
Unique sites:
Ca 0.020 0.250 0.192 [4 per cell]
Pt 0.227 0.750 0.401 [4 per cell]
Pb 0.171 0.250 0.577 [4 per cell]

No. 9
A plane-wave DFT calculation with PBE was carried out for an optimized crystal structure of Tb3SbO7.

Calculated values
Its energy relative to the elements is -3.396 eV/atom. For the calculated volume, the calculation gives 13.6 A^3/atom. Its polymorph energy (0 for the lowest one) is 0.52 kcal/mol of atoms.

Cell: 10.617 7.459 7.544 Å, 90.00 90.00 90.00°
Space group Cmcm (No. 63)
Unique sites:
Tb 0.000 0.000 0.000 [4 per cell]
Tb 0.229 0.284 0.250 [8 per cell]
Sb 0.000 0.500 0.000 [4 per cell]
O 0.000 0.412 0.250 [4 per cell]
O 0.129 0.308 0.533 [16 per cell]
O 0.133 0.017 0.250 [8 per cell]

No. 10
A plane-wave DFT calculation with PBE was carried out for an optimized crystal structure of KTmI3.

Calculated values
Its energy relative to the elements is -1.409 eV/atom. For the calculated volume, the calculation gives 38.7 A^3/atom.

Cell: 4.285 15.652 11.539 Å, 90.00 90.00 90.00°
Space group Cmcm (No. 63)
Unique sites:
K 0.000 0.249 0.250 [4 per cell]
Tm 0.000 0.000 0.000 [4 per cell]
I 0.000 0.066 0.750 [4 per cell]
I 0.000 0.366 0.554 [8 per cell]

No. 11
A plane-wave DFT calculation with PBE was carried out for an optimized crystal structure of HgH10C2S2O8.

Calculated values
Its energy relative to the elements is -0.998 eV/atom. For the calculated volume, the calculation gives 11.2 A^3/atom.

Cell: 4.829 6.470 8.339 Å, 88.12 84.85 84.32°
Space group P-1 (No. 2)
Unique sites:
Hg 0.000 0.000 0.000 [1 per cell]
H 0.009 0.629 0.811 [2 per cell]
H 0.174 0.656 0.426 [2 per cell]
H 0.174 0.932 0.392 [2 per cell]
H 0.304 0.319 0.111 [2 per cell]
H 0.426 0.793 0.514 [2 per cell]
C 0.303 0.786 0.410 [2 per cell]
S 0.465 0.258 0.766 [2 per cell]
O 0.143 0.257 0.168 [2 per cell]
O 0.296 0.456 0.741 [2 per cell]
O 0.300 0.074 0.777 [2 per cell]
O 0.365 0.734 0.095 [2 per cell]

No. 12
A plane-wave DFT calculation with PBE was carried out for an optimized crystal structure of Sr2CaCu6B6O18.

Calculated values
Its energy relative to the elements is -2.283 eV/atom. For the calculated volume, the calculation gives 12.6 A^3/atom.

Cell: 7.238 7.240 16.230 Å, 87.96 87.97 77.50°
Space group P1 (No. 1)
Unique sites:
Sr 0.000 0.000 0.000 [1 per cell]
Sr 0.168 0.168 0.168 [1 per cell]
Sr 0.335 0.335 0.336 [1 per cell]
Sr 0.667 0.668 0.668 [1 per cell]
Ca 0.501 0.501 0.502 [1 per cell]
Ca 0.834 0.834 0.834 [1 per cell]
Cu 0.205 0.437 0.705 [1 per cell]
Cu 0.233 0.464 0.963 [1 per cell]
Cu 0.282 0.051 0.782 [1 per cell]
Cu 0.284 0.053 0.554 [1 per cell]
Cu 0.539 0.768 0.038 [1 per cell]
Cu 0.568 0.796 0.298 [1 per cell]
Cu 0.615 0.386 0.116 [1 per cell]
Cu 0.617 0.387 0.887 [1 per cell]
Cu 0.871 0.104 0.373 [1 per cell]
Cu 0.899 0.130 0.631 [1 per cell]
Cu 0.949 0.717 0.449 [1 per cell]
Cu 0.949 0.720 0.220 [1 per cell]
B 0.017 0.424 0.518 [1 per cell]
B 0.154 0.747 0.653 [1 per cell]
B 0.244 0.651 0.151 [1 per cell]
B 0.256 0.847 0.350 [1 per cell]
B 0.350 0.758 0.851 [1 per cell]
B 0.488 0.078 0.986 [1 per cell]
B 0.577 0.985 0.484 [1 per cell]
B 0.588 0.181 0.683 [1 per cell]
B 0.684 0.091 0.185 [1 per cell]
B 0.819 0.414 0.322 [1 per cell]
B 0.911 0.318 0.818 [1 per cell]
B 0.921 0.516 0.014 [1 per cell]
O 0.019 0.679 0.702 [1 per cell]
O 0.054 0.349 0.030 [1 per cell]
O 0.061 0.256 0.562 [1 per cell]
O 0.071 0.875 0.376 [1 per cell]
O 0.079 0.275 0.774 [1 per cell]
O 0.119 0.826 0.144 [1 per cell]
O 0.127 0.931 0.626 [1 per cell]
O 0.149 0.490 0.467 [1 per cell]
O 0.172 0.879 0.857 [1 per cell]
O 0.180 0.523 0.205 [1 per cell]
O 0.320 0.614 0.636 [1 per cell]
O 0.327 0.982 0.303 [1 per cell]
O 0.353 0.008 0.033 [1 per cell]
O 0.389 0.680 0.367 [1 per cell]
O 0.394 0.591 0.895 [1 per cell]
O 0.404 0.209 0.710 [1 per cell]
O 0.412 0.608 0.108 [1 per cell]
O 0.457 0.163 0.479 [1 per cell]
O 0.461 0.264 0.960 [1 per cell]
O 0.482 0.823 0.800 [1 per cell]
O 0.509 0.216 0.192 [1 per cell]
O 0.513 0.853 0.536 [1 per cell]
O 0.655 0.946 0.969 [1 per cell]
O 0.657 0.316 0.634 [1 per cell]
O 0.683 0.346 0.369 [1 per cell]
O 0.722 0.015 0.700 [1 per cell]
O 0.728 0.923 0.228 [1 per cell]
O 0.738 0.543 0.043 [1 per cell]
O 0.746 0.941 0.441 [1 per cell]
O 0.789 0.496 0.813 [1 per cell]
O 0.793 0.597 0.293 [1 per cell]
O 0.813 0.155 0.131 [1 per cell]
O 0.839 0.546 0.523 [1 per cell]
O 0.845 0.187 0.869 [1 per cell]
O 0.986 0.282 0.306 [1 per cell]
O 0.990 0.652 0.967 [1 per cell]

No. 13
A plane-wave DFT calculation with PBE was carried out for an optimized crystal structure of Li2BiO3.

Calculated values
Its energy relative to the elements is -1.852 eV/atom. For the calculated volume, the calculation gives 12.7 A^3/atom. Its polymorph energy (0 for the lowest one) is 0.00 kcal/mol of atoms.

Cell: 4.441 9.938 3.464 Å, 90.00 90.00 90.00°
Space group Cmmm (No. 65)
Unique sites:
Li 0.000 0.156 0.000 [4 per cell]
Bi 0.000 0.500 0.500 [2 per cell]
O 0.000 0.000 0.500 [2 per cell]
O 0.000 0.352 0.000 [4 per cell]